Compound: EuDy2O4
Source: the Materials Project database
Functional: PBE-GGA
Structure: relaxed

Unit cell a=10.054 b=3.434 c=12.020 alpha=90.00 beta=90.00 gamma=90.00
Space group Pnma (No. 62)
Unique sites:
Eu 0.247 0.250 0.148 (multiplicity 4)
Dy 0.074 0.250 0.889 (multiplicity 4)
Dy 0.081 0.250 0.388 (multiplicity 4)
O 0.007 0.750 0.786 (multiplicity 4)
O 0.075 0.250 0.580 (multiplicity 4)
O 0.129 0.750 0.018 (multiplicity 4)
O 0.215 0.750 0.322 (multiplicity 4)

Properties
The calculation puts the formation energy at -26.1 eV/f.u. The crystal system is orthorhombic. The value obtained for the total magnetic moment is 7.000 μB/f.u.